Compound: PrTl2InTe4
Source: the Materials Project
Functional: GGA-PBE
Structure: relaxed

Computed properties:
ΔH_f (0 K), kJ/mol of formula units: -656.0
Magnetic moment, μB/atom: 0.00

Cell: 8.5340 8.5340 7.7287 Å, 90.00 90.00 90.00°
Space group I-42m (No. 121)
One atom of each set of equivalent atoms:
Pr: 0.0000 0.0000 0.0000
Tl: 0.0000 0.5000 0.0000
In: 0.0000 0.0000 0.5000
Te: 0.1882 0.1882 0.7232